No. 1
Density functional theory data (PBE with a Hubbard U) for a relaxed structure of Fe3Te4O12.

Summary:
Formation energy, eV per atom: -1.564
Electronic total energy, eV per cell: -448.3
Symmetry: P2_1/c

a = 7.468 Å, b = 9.310 Å, c = 16.134 Å
α = 71.51°, β = 90.00°, γ = 90.00°
Element x y z (fractional)
Te1 0.128 0.821 0.990
Te2 0.112 0.017 0.255
Te3 0.872 0.179 0.010
Te4 0.141 0.168 0.534
Te5 0.628 0.179 0.510
Te6 0.888 0.983 0.745
Te7 0.641 0.832 0.966
Te8 0.372 0.821 0.490
Te9 0.120 0.551 0.364
Te10 0.880 0.449 0.636
Te11 0.388 0.017 0.755
Te12 0.612 0.983 0.245
Te13 0.359 0.168 0.034
Te14 0.380 0.551 0.864
Te15 0.620 0.449 0.136
Te16 0.859 0.832 0.466
O1 0.334 0.176 0.615
O2 0.889 0.381 0.011
O3 0.428 0.191 0.433
O4 0.367 0.380 0.006
O5 0.076 0.850 0.740
O6 0.318 0.803 0.073
O7 0.894 0.472 0.171
O8 0.618 0.322 0.263
O9 0.157 0.461 0.673
O10 0.633 0.620 0.994
O11 0.182 0.803 0.573
O12 0.572 0.809 0.567
O13 0.942 0.131 0.617
O14 0.611 0.381 0.511
O15 0.198 0.119 0.791
O16 0.666 0.824 0.385
O17 0.118 0.358 0.337
O18 0.834 0.824 0.885
O19 0.928 0.809 0.067
O20 0.618 0.642 0.163
O21 0.682 0.197 0.927
O22 0.657 0.539 0.827
O23 0.606 0.472 0.671
O24 0.166 0.176 0.115
O25 0.882 0.642 0.663
O26 0.058 0.869 0.383
O27 0.302 0.119 0.291
O28 0.382 0.678 0.737
O29 0.382 0.358 0.837
O30 0.843 0.539 0.327
O31 0.802 0.881 0.209
O32 0.072 0.191 0.933
O33 0.133 0.380 0.506
O34 0.882 0.322 0.763
O35 0.576 0.150 0.760
O36 0.558 0.131 0.117
O37 0.924 0.150 0.260
O38 0.394 0.528 0.329
O39 0.111 0.619 0.989
O40 0.442 0.869 0.883
O41 0.343 0.461 0.173
O42 0.118 0.678 0.237
O43 0.389 0.619 0.489
O44 0.106 0.528 0.829
O45 0.818 0.197 0.427
O46 0.867 0.620 0.494
O47 0.698 0.881 0.709
O48 0.424 0.850 0.240
Fe1 0.870 0.683 0.193
Fe2 0.130 0.317 0.807
Fe3 0.868 0.326 0.303
Fe4 0.630 0.683 0.693
Fe5 0.132 0.674 0.697
Fe6 0.878 0.577 0.905
Fe7 0.378 0.423 0.595
Fe8 0.632 0.326 0.803
Fe9 0.622 0.577 0.405
Fe10 0.370 0.317 0.307
Fe11 0.122 0.423 0.095
Fe12 0.368 0.674 0.197



No. 2
Density functional theory data (PBE with a Hubbard U) for a relaxed structure of FeTe2O6.

Summary:
Formation energy, eV per atom: -1.396
Electronic total energy, eV per cell: -405.1
Symmetry: I4_1/acd

a = 11.233 Å, b = 11.233 Å, c = 11.233 Å
α = 96.86°, β = 116.12°, γ = 116.12°
Element x y z (fractional)
Fe1 0.250 0.021 0.271
Fe2 0.250 0.729 0.979
Fe3 0.250 0.229 0.479
Fe4 0.750 0.771 0.521
Fe5 0.250 0.521 0.771
Fe6 0.750 0.479 0.229
Fe7 0.750 0.979 0.729
Fe8 0.750 0.271 0.021
O1 0.565 0.115 0.828
O2 0.250 0.060 0.440
O3 0.732 0.866 0.116
O4 0.213 0.385 0.450
O5 0.503 0.885 0.626
O6 0.750 0.940 0.560
O7 0.750 0.810 0.690
O8 0.435 0.885 0.172
O9 0.758 0.374 0.877
O10 0.258 0.377 0.874
O11 0.619 0.310 0.060
O12 0.065 0.328 0.615
O13 0.497 0.115 0.374
O14 0.787 0.172 0.737
O15 0.213 0.828 0.263
O16 0.742 0.623 0.126
O17 0.935 0.672 0.385
O18 0.497 0.382 0.623
O19 0.435 0.550 0.763
O20 0.997 0.874 0.615
O21 0.565 0.450 0.237
O22 0.250 0.884 0.616
O23 0.065 0.737 0.950
O24 0.758 0.385 0.382
O25 0.381 0.690 0.940
O26 0.935 0.263 0.050
O27 0.768 0.384 0.634
O28 0.268 0.134 0.884
O29 0.242 0.615 0.618
O30 0.250 0.190 0.310
O31 0.003 0.877 0.118
O32 0.750 0.116 0.384
O33 0.003 0.126 0.385
O34 0.119 0.560 0.810
O35 0.232 0.616 0.366
O36 0.881 0.440 0.190
O37 0.250 0.366 0.134
O38 0.750 0.634 0.866
O39 0.742 0.118 0.115
O40 0.242 0.626 0.123
O41 0.503 0.618 0.377
O42 0.287 0.050 0.115
O43 0.787 0.615 0.550
O44 0.997 0.123 0.882
O45 0.713 0.763 0.328
O46 0.713 0.950 0.885
O47 0.287 0.237 0.672
O48 0.258 0.882 0.885
Te1 0.857 0.041 0.092
Te2 0.857 0.816 0.265
Te3 0.949 0.684 0.041
Te4 0.643 0.235 0.684
Te5 0.357 0.592 0.541
Te6 0.449 0.541 0.184
Te7 0.143 0.959 0.908
Te8 0.643 0.408 0.459
Te9 0.551 0.092 0.235
Te10 0.143 0.184 0.735
Te11 0.051 0.735 0.592
Te12 0.357 0.765 0.316
Te13 0.949 0.265 0.408
Te14 0.551 0.459 0.816
Te15 0.449 0.908 0.765
Te16 0.051 0.316 0.959